# 1
Compound: Ba4Y2Cu6NiO15
Source: Materials Project
Functional: GGA+U
Structure: optimized geometry

Cell: 3.8852 7.8370 25.8048 Å, 81.26 85.68 89.99°
Fractional positions:
Ba (0.5421, 0.7921, 0.9158)
Ba (0.3118, 0.5617, 0.3763)
Ba (0.3118, 0.0619, 0.3763)
Ba (0.4582, 0.2081, 0.0837)
Ba (0.5421, 0.2921, 0.9158)
Ba (0.4582, 0.7082, 0.0837)
Ba (0.6884, 0.4384, 0.6231)
Ba (0.6884, 0.9385, 0.6231)
Ni (0.1512, 0.6513, 0.6975)
Ni (0.1512, 0.1512, 0.6975)
O (0.9123, 0.1624, 0.1755)
O (0.3566, 0.3567, 0.2867)
O (0.5871, 0.0872, 0.8257)
O (0.2662, 0.7662, 0.4676)
O (0.1921, 0.6922, 0.6156)
O (0.6434, 0.6433, 0.7133)
O (0.7328, 0.7328, 0.5343)
O (0.5871, 0.5872, 0.8257)
O (0.0000, 0.7499, 0.0001)
O (0.9123, 0.6621, 0.1755)
O (0.4127, 0.4127, 0.1746)
O (0.0000, 0.2500, 0.0001)
O (0.9631, 0.9631, 0.0738)
O (0.4128, 0.9127, 0.1746)
O (0.8558, 0.6060, 0.2884)
O (0.8065, 0.8064, 0.3873)
O (0.3566, 0.8567, 0.2867)
O (0.0369, 0.5369, 0.9263)
O (0.1921, 0.1922, 0.6156)
O (0.0876, 0.8377, 0.8247)
O (0.1442, 0.3941, 0.7117)
O (0.6434, 0.1433, 0.7133)
O (0.1442, 0.8941, 0.7117)
O (0.8558, 0.1057, 0.2884)
O (0.2663, 0.2662, 0.4676)
O (0.8065, 0.3064, 0.3873)
O (0.0876, 0.3377, 0.8247)
O (0.7328, 0.2328, 0.5343)
O (0.0368, 0.0369, 0.9263)
O (0.9631, 0.4630, 0.0738)
Y (0.6159, 0.3659, 0.7682)
Y (0.3848, 0.6347, 0.2305)
Y (0.3848, 0.1348, 0.2305)
Y (0.6159, 0.8659, 0.7682)
Cu (0.9184, 0.4184, 0.1633)
Cu (0.2290, 0.2291, 0.5418)
Cu (0.8513, 0.8513, 0.2974)
Cu (0.0000, 0.5000, 0.0000)
Cu (0.0814, 0.0814, 0.8371)
Cu (0.7702, 0.7701, 0.4598)
Cu (0.0814, 0.5814, 0.8371)
Cu (0.7702, 0.2701, 0.4598)
Cu (0.8513, 0.3513, 0.2974)
Cu (0.0000, 0.0000, 0.0000)
Cu (0.2290, 0.7291, 0.5418)
Cu (0.9184, 0.9184, 0.1632)


# 2
Compound: BaSrV4Cu4O16
Source: Materials Project
Functional: GGA+U
Structure: optimized geometry

Cell: 9.9959 9.9959 9.9959 Å, 99.61 99.61 131.78°
Fractional positions:
Ba (0.0000, 0.0000, 0.0000)
Ba (0.7500, 0.2500, 0.5000)
Sr (0.2500, 0.7500, 0.5000)
Sr (0.5000, 0.5000, 0.0000)
V (0.2797, 0.6250, 0.1547)
V (0.3750, 0.0695, 0.1945)
V (0.3750, 0.5297, 0.6547)
V (0.4703, 0.1250, 0.8453)
V (0.8195, 0.6250, 0.6945)
V (0.8750, 0.1805, 0.8055)
V (0.8750, 0.7203, 0.3453)
V (0.9305, 0.1250, 0.3055)
Cu (0.0860, 0.0704, 0.6670)
Cu (0.1690, 0.6534, 0.8330)
Cu (0.3466, 0.1796, 0.5156)
Cu (0.4034, 0.4190, 0.3330)
Cu (0.5810, 0.9140, 0.9844)
Cu (0.6640, 0.8310, 0.4844)
Cu (0.8204, 0.3360, 0.1670)
Cu (0.9296, 0.5966, 0.0156)
O (0.0000, 0.6376, 0.6802)
O (0.0592, 0.5544, 0.1514)
O (0.0698, 0.2074, 0.8198)
O (0.0922, 0.9408, 0.4952)
O (0.1456, 0.1925, 0.3152)
O (0.1696, 0.8544, 0.0469)
O (0.1960, 0.5204, 0.6401)
O (0.2704, 0.4460, 0.1401)
O (0.3044, 0.3092, 0.6514)
O (0.3060, 0.1304, 0.8599)
O (0.3470, 0.6956, 0.0048)
O (0.3624, 0.0426, 0.3624)
O (0.3876, 0.2500, 0.1802)
O (0.4030, 0.9078, 0.8486)
O (0.4440, 0.8040, 0.3244)
O (0.4456, 0.5970, 0.5048)
O (0.4796, 0.1196, 0.6756)
O (0.5540, 0.6940, 0.8244)
O (0.5804, 0.1273, 0.1848)
O (0.6044, 0.4196, 0.5469)
O (0.6578, 0.6530, 0.3486)
O (0.6802, 0.0000, 0.6376)
O (0.6908, 0.3422, 0.9952)
O (0.7500, 0.9302, 0.1376)
O (0.7926, 0.6124, 0.8624)
O (0.8075, 0.1227, 0.9531)
O (0.8696, 0.7296, 0.1756)
O (0.8727, 0.0575, 0.4531)
O (0.8773, 0.8304, 0.6848)
O (0.8804, 0.5560, 0.3599)
O (0.9425, 0.3956, 0.8152)
O (0.9574, 0.3198, 0.3198)


# 3
Compound: Ba4Y2Cu4W2O17
Source: Materials Project
Functional: GGA+U
Structure: optimized geometry

Cell: 5.8839 6.0367 12.2435 Å, 101.86 101.71 97.69°
Fractional positions:
Ba (0.0000, 0.0000, 0.0000)
Ba (0.1698, 0.1661, 0.3455)
Ba (0.3742, 0.3460, 0.6907)
Ba (0.6707, 0.6506, 0.3426)
Y (0.5701, 0.3789, 0.9979)
Y (0.8161, 0.9115, 0.6830)
Cu (0.0873, 0.5802, 0.1649)
Cu (0.4193, 0.9005, 0.8389)
Cu (0.7723, 0.2539, 0.5219)
Cu (0.9579, 0.4568, 0.8430)
W (0.2500, 0.7511, 0.5195)
W (0.5817, 0.0714, 0.1769)
O (0.0181, 0.9482, 0.5058)
O (0.0325, 0.4734, 0.5019)
O (0.2163, 0.6678, 0.3555)
O (0.2220, 0.3121, 0.8832)
O (0.2373, 0.8243, 0.6867)
O (0.3217, 0.8536, 0.1758)
O (0.3994, 0.3188, 0.1527)
O (0.5038, 0.0267, 0.5387)
O (0.5087, 0.9854, 0.0041)
O (0.5306, 0.6122, 0.5522)
O (0.6427, 0.1852, 0.3414)
O (0.6707, 0.1452, 0.8349)
O (0.7778, 0.6861, 0.8052)
O (0.8066, 0.8755, 0.1872)
O (0.8495, 0.3185, 0.1683)
O (0.9077, 0.2916, 0.6847)
O (0.9351, 0.5480, 0.0018)


# 4
Compound: Ba10Zn4CuW5O30
Source: Materials Project
Functional: GGA+U
Structure: optimized geometry

Cell: 10.1038 10.1038 14.2897 Å, 118.11 118.11 33.55°
Fractional positions:
Ba (0.0000, 0.0000, 0.2496)
Ba (0.0000, 0.0000, 0.7504)
Ba (0.1997, 0.1997, 0.0499)
Ba (0.2000, 0.2000, 0.5500)
Ba (0.4000, 0.4000, 0.3500)
Ba (0.4003, 0.4003, 0.8505)
Ba (0.5997, 0.5997, 0.1495)
Ba (0.6000, 0.6000, 0.6500)
Ba (0.8000, 0.8000, 0.4500)
Ba (0.8003, 0.8003, 0.9501)
Zn (0.2000, 0.2000, 0.8000)
Zn (0.4000, 0.4000, 0.6000)
Zn (0.6000, 0.6000, 0.4000)
Zn (0.8000, 0.8000, 0.2000)
Cu (0.0000, 0.0000, 0.0000)
W (0.0000, 0.0000, 0.5000)
W (0.1998, 0.1998, 0.2997)
W (0.4001, 0.4001, 0.0998)
W (0.5999, 0.5999, 0.9002)
W (0.8002, 0.8002, 0.7003)
O (0.0096, 0.4857, 0.2524)
O (0.0856, 0.6096, 0.6524)
O (0.0952, 0.0952, 0.6428)
O (0.1048, 0.1048, 0.1571)
O (0.1144, 0.5905, 0.1476)
O (0.1904, 0.7144, 0.5476)
O (0.2096, 0.6857, 0.0524)
O (0.2856, 0.8096, 0.4524)
O (0.2951, 0.2951, 0.4426)
O (0.3048, 0.3048, 0.9572)
O (0.3143, 0.7904, 0.9476)
O (0.3904, 0.9144, 0.3476)
O (0.4095, 0.8856, 0.8524)
O (0.4857, 0.0096, 0.2524)
O (0.4952, 0.4952, 0.2428)
O (0.5048, 0.5048, 0.7572)
O (0.5143, 0.9904, 0.7476)
O (0.5905, 0.1144, 0.1476)
O (0.6096, 0.0856, 0.6524)
O (0.6857, 0.2096, 0.0524)
O (0.6952, 0.6952, 0.0428)
O (0.7049, 0.7049, 0.5574)
O (0.7144, 0.1904, 0.5476)
O (0.7904, 0.3143, 0.9476)
O (0.8096, 0.2856, 0.4524)
O (0.8856, 0.4095, 0.8524)
O (0.8952, 0.8952, 0.8429)
O (0.9048, 0.9048, 0.3572)
O (0.9144, 0.3904, 0.3476)
O (0.9904, 0.5143, 0.7476)


# 5
Compound: BaEuDyMnO6
Source: Materials Project
Functional: GGA+U
Structure: optimized geometry

Cell: 5.8238 5.8238 5.8238 Å, 60.00 60.00 60.00°
Fractional positions:
Ba (0.0000, 0.0000, 0.0000)
Eu (0.5000, 0.5000, 0.5000)
Dy (0.7500, 0.7500, 0.7500)
Mn (0.2500, 0.2500, 0.2500)
O (0.0171, 0.0171, 0.4829)
O (0.0171, 0.4829, 0.0171)
O (0.0171, 0.4829, 0.4829)
O (0.4829, 0.0171, 0.0171)
O (0.4829, 0.0171, 0.4829)
O (0.4829, 0.4829, 0.0171)


# 6
Compound: BaEuDyVO6
Source: Materials Project
Functional: GGA+U
Structure: optimized geometry

Cell: 5.9928 5.9928 5.9928 Å, 60.00 60.00 60.00°
Fractional positions:
Ba (0.0000, 0.0000, 0.0000)
Eu (0.5000, 0.5000, 0.5000)
Dy (0.2500, 0.2500, 0.2500)
V (0.7500, 0.7500, 0.7500)
O (0.5187, 0.5187, 0.9813)
O (0.5187, 0.9813, 0.5187)
O (0.5187, 0.9813, 0.9813)
O (0.9813, 0.5187, 0.5187)
O (0.9813, 0.5187, 0.9813)
O (0.9813, 0.9813, 0.5187)


# 7
Compound: BaEuDyWO6
Source: Materials Project
Functional: GGA+U
Structure: optimized geometry

Calculated values
Excess energy over the best structure of this formula in the dataset, eV per formula unit: 0.95

Cell: 5.9859 5.9859 5.9859 Å, 60.00 60.00 60.00°
Fractional positions:
Ba (0.0000, 0.0000, 0.0000)
Eu (0.5000, 0.5000, 0.5000)
Dy (0.7500, 0.7500, 0.7500)
W (0.2500, 0.2500, 0.2500)
O (0.0132, 0.0132, 0.4868)
O (0.0132, 0.4868, 0.0132)
O (0.0132, 0.4868, 0.4868)
O (0.4868, 0.0132, 0.0132)
O (0.4868, 0.0132, 0.4868)
O (0.4868, 0.4868, 0.0132)


# 8
Compound: BaEuDyWO6
Source: Materials Project
Functional: GGA+U
Structure: optimized geometry

Calculated values
Excess energy over the best structure of this formula in the dataset, eV per formula unit: 0.00

Cell: 5.9578 5.9666 8.4595 Å, 90.05 90.29 90.68°
Fractional positions:
Ba (0.0192, 0.0032, 0.2514)
Ba (0.9808, 0.9968, 0.7486)
Eu (0.4755, 0.5029, 0.7504)
Eu (0.5245, 0.4971, 0.2496)
Dy (0.0000, 0.5000, 0.5000)
Dy (0.5000, 0.0000, 0.0000)
W (0.0000, 0.5000, 0.0000)
W (0.5000, 0.0000, 0.5000)
O (0.0148, 0.4505, 0.7621)
O (0.2112, 0.7557, 0.9699)
O (0.2402, 0.7875, 0.5338)
O (0.2739, 0.2962, 0.0339)
O (0.2988, 0.2697, 0.4697)
O (0.5003, 0.0693, 0.7366)
O (0.4997, 0.9307, 0.2634)
O (0.7012, 0.7303, 0.5303)
O (0.7261, 0.7038, 0.9661)
O (0.7598, 0.2125, 0.4662)
O (0.7888, 0.2443, 0.0301)
O (0.9852, 0.5495, 0.2379)


no.,electronic total energy (eV/atom),ΔE_f (meV per atom)
1,-6.133,-2120
2,-6.636,-2108
3,-6.748,-2386
4,-6.582,-2607
5,-7.877,-2893
6,-8.095,-3122
7,-8.118,-3031
8,-8.213,-3126